P) Crystalline MgTiNbS4 at its relaxed geometry, computed with PBE.

The total magnetic moment is 0.000 μB per formula unit. As for the space-group type: Cm, No. 8.

```
MgTiNbS4
1.0
-0.1586 -1.8714 2.8660
-3.9624 -1.6894 -5.4186
1.6859 -5.4267 -5.4994
Nb S Ti Mg
1 4 1 1
direct
0.0625 0.5739 0.9778
0.7277 0.3355 0.7850
0.3070 0.2080 0.1981
0.2976 0.6725 0.2509
0.7559 0.8973 0.7177
0.9828 0.9862 0.9942
0.5272 0.2867 0.4837
```

---

Q) Crystalline MgTiNbS4 at its relaxed geometry, computed with PBE.

The total magnetic moment is 0.000 μB per formula unit. As for the space-group type: P1, No. 1.

```
MgTiNbS4
1.0
3.4442 0.0002 0.0031
-3.4440 6.1137 -0.0941
-1.7160 2.9261 6.5951
S Ti Mg Nb
4 1 1 1
direct
0.6522 0.7777 0.7469
0.3433 0.7203 0.2473
0.3324 0.2313 0.2035
0.6558 0.2483 0.8129
0.9540 0.9459 0.0153
0.3631 0.0791 0.5645
0.0386 0.5374 0.0022
```

---

R) Crystalline MgTiNbS4 at its relaxed geometry, computed with PBE.

The total magnetic moment is 0.000 μB per formula unit. As for the space-group type: P1, No. 1.

```
MgTiNbS4
1.0
3.4127 -0.0003 0.0005
-3.4124 6.1070 -0.1433
-1.7049 2.8923 6.0900
S Mg Ti Nb
4 1 1 1
direct
0.6654 0.7980 0.7301
0.6562 0.2633 0.7842
0.3397 0.2290 0.2198
0.3495 0.7158 0.2647
0.0038 0.2548 0.5000
0.9576 0.9492 0.0134
0.0456 0.5497 0.9878
```

---

Least stable of them? Q).